Tb2Re2Si2C | PBE | optimized geometry

Cell: 10.9855 4.0081 6.9673 Å, 90.00 127.66 90.00°
With the nearest neighbours (Å) after each atom.
Space group C2/m (No. 12)
Asymmetric unit:
1 Tb 0.0719 0.0000 0.3002  2 C 2.65
2 Re 0.2067 0.5000 0.0919  1 C 1.95
3 Si 0.1429 0.5000 0.6838  3 Re 2.46-2.48, 1 Si 2.57
4 C 0.0000 0.5000 0.0000  2 Re 1.95

Energy of formation from the pure elements ... -620 meV/atom
Energy ... -117.2 eV/cell
Total magnetization ... 0.00 μB per formula unit

=====

Sr2YCu2SnO7 | PBE | optimized geometry

Cell: 24.1203 5.5315 5.4804 Å, 90.00 90.00 90.00°
With the nearest neighbours (Å) after each atom.
Space group Ima2 (No. 46)
Asymmetric unit:
1 Sr 0.1404 0.0085 0.0000  7 O 2.62-2.78
2 Y 0.0000 0.0000 0.9979  8 O 2.38-2.51
3 Cu 0.0643 0.5021 0.9995  4 O 1.94-1.97
4 Sn 0.2500 0.5386 0.9684  4 O 2.02-2.10
5 O 0.0602 0.2400 0.2418  2 Cu 1.95-1.97
6 O 0.0621 0.7433 0.2571  2 Cu 1.94
7 O 0.1691 0.0357 0.5240  1 Sn 2.02
8 O 0.2500 0.6037 0.5916  2 Sn 2.09-2.10

Energy of formation from the pure elements ... -2379 meV/atom
Energy ... -331.2 eV/cell
Total magnetization ... 0.01 μB per formula unit

=====

Mg14SnC | PBE | optimized geometry

Cell: 9.9060 7.1665 10.4162 Å, 90.00 90.00 90.00°
With the nearest neighbours (Å) after each atom.
Space group Amm2 (No. 38)
Asymmetric unit:
1 Mg 0.0000 0.0000 0.0000  10 Mg 3.06-3.24
2 Mg 0.0000 0.0000 0.4990  8 Mg 3.08-3.21
3 Mg 0.0000 0.2347 0.2478  11 Mg 3.08-3.36
4 Mg 0.2360 0.0000 0.8110  9 Mg 3.03-3.17
5 Mg 0.2533 0.2356 0.5535  9 Mg 3.08-3.38, 1 Sn 3.11
6 Mg 0.2807 0.0000 0.2999  1 C 2.24
7 Mg 0.5000 0.2065 0.7715  1 C 2.12
8 Sn 0.5000 0.0000 0.0265  1 C 2.29
9 C 0.5000 0.0000 0.2465  4 Mg 2.12-2.24, 1 Sn 2.29

Energy above the most stable polymorph in this dataset ... 0.00 eV per formula unit
Energy of formation from the pure elements ... 176 meV/atom
Energy ... -65.7 eV/cell
Total magnetization ... 0.00 μB per formula unit

=====

- Which of these has the highest total magnetization?
  Sr2YCu2SnO7

=====

Copy entry 1 word for word.
Tb2Re2Si2C | PBE | optimized geometry

Cell: 10.9855 4.0081 6.9673 Å, 90.00 127.66 90.00°
With the nearest neighbours (Å) after each atom.
Space group C2/m (No. 12)
Asymmetric unit:
1 Tb 0.0719 0.0000 0.3002  2 C 2.65
2 Re 0.2067 0.5000 0.0919  1 C 1.95
3 Si 0.1429 0.5000 0.6838  3 Re 2.46-2.48, 1 Si 2.57
4 C 0.0000 0.5000 0.0000  2 Re 1.95

Energy of formation from the pure elements ... -620 meV/atom
Energy ... -117.2 eV/cell
Total magnetization ... 0.00 μB per formula unit

=====

- What is the formula in the first record?
  Tb2Re2Si2C